An optimized crystal structure of BaCaSn4O8, computed with PBE.

Results
* calculated density: 5.645 Mg/m³
* total DFT energy (no corrections): -84.173 eV per cell
* spin magnetization: 0.001 μB/f.u.
* space group: P-31m, No. 162

Unit cell a=6.1257 b=6.1257 c=7.0629 alpha=90.00 beta=90.00 gamma=120.00
Closest atoms and distances in Å follow each position.
Positions (direct):
Ba  0.0000  0.0000  0.0000  6 O 2.78
Ca  0.0000  0.0000  0.5000  6 O 2.38
Sn  0.3333  0.6667  0.2856  4 O 2.02-2.13
Sn  0.3333  0.6667  0.7144  4 O 2.02-2.13
Sn  0.6667  0.3333  0.2856  4 O 2.02-2.13
Sn  0.6667  0.3333  0.7144  4 O 2.02-2.13
O  0.0000  0.3054  0.2916  2 Sn 2.13, 1 Ca 2.38
O  0.0000  0.6946  0.7084  2 Sn 2.13, 1 Ca 2.38
O  0.3054  0.0000  0.2916  2 Sn 2.13, 1 Ca 2.38
O  0.3054  0.3054  0.7084  2 Sn 2.13, 1 Ca 2.38
O  0.3333  0.6667  0.0000  2 Sn 2.02
O  0.6667  0.3333  0.0000  2 Sn 2.02
O  0.6946  0.0000  0.7084  2 Sn 2.13, 1 Ca 2.38
O  0.6946  0.6946  0.2916  2 Sn 2.13, 1 Ca 2.38

=====

An optimized crystal structure of LaP3O9, computed with PBE.

Results
* calculated density: 3.335 Mg/m³
* total DFT energy (no corrections): -197.373 eV per cell
* space group: C222_1, No. 20

Unit cell a=7.1897 b=7.1897 c=7.4995 alpha=90.00 beta=90.00 gamma=105.10
Closest atoms and distances in Å follow each position.
Positions (direct):
La  0.1295  0.1295  0.0000  6 O 2.43-2.52
La  0.8705  0.8705  0.5000  6 O 2.43-2.52
P  0.2515  0.2515  0.5000  4 O 1.52-1.59
P  0.3181  0.6686  0.9516  4 O 1.49-1.62
P  0.3314  0.6819  0.5484  4 O 1.49-1.62
P  0.6686  0.3181  0.0484  4 O 1.49-1.62
P  0.6819  0.3314  0.4516  4 O 1.49-1.62
P  0.7485  0.7485  0.0000  4 O 1.52-1.59
O  0.1381  0.1732  0.6662  1 P 1.52
O  0.1715  0.7785  0.5386  1 P 1.49
O  0.1732  0.1381  0.3338  1 P 1.52
O  0.2215  0.8285  0.9614  1 P 1.49
O  0.2229  0.4783  0.0342  1 P 1.50
O  0.2518  0.4693  0.4616  2 P 1.59-1.62
O  0.3729  0.6271  0.7500  2 P 1.61
O  0.4693  0.2518  0.5384  2 P 1.59-1.62
O  0.4783  0.2229  0.9658  1 P 1.50
O  0.5217  0.7771  0.4658  1 P 1.50
O  0.5307  0.7482  0.0384  2 P 1.59-1.62
O  0.6271  0.3729  0.2500  2 P 1.61
O  0.7482  0.5307  0.9616  2 P 1.59-1.62
O  0.7771  0.5217  0.5342  1 P 1.50
O  0.7785  0.1715  0.4614  1 P 1.49
O  0.8268  0.8619  0.8338  1 P 1.52
O  0.8285  0.2215  0.0386  1 P 1.49
O  0.8619  0.8268  0.1662  1 P 1.52

=====

An optimized crystal structure of Ba5Al2Ge7, computed with PBE.

Results
* calculated density: 5.003 Mg/m³
* total DFT energy (no corrections): -113.660 eV per cell
* space group: C2/m, No. 12

Unit cell a=6.8077 b=6.8077 c=18.6898 alpha=98.62 beta=98.62 gamma=100.10
Closest atoms and distances in Å follow each position.
Positions (direct):
Ba  0.0703  0.6226  0.7104  7 Ge 3.46-3.67, 3 Al 3.53-3.83
Ba  0.2093  0.7907  0.0000  10 Ge 3.39-3.62
Ba  0.2509  0.7491  0.5000  8 Ge 3.54-3.83, 4 Al 3.60-3.69
Ba  0.2612  0.2612  0.8554  6 Ge 3.42-3.72, 1 Al 3.52
Ba  0.3774  0.9297  0.2896  7 Ge 3.46-3.67, 3 Al 3.53-3.83
Ba  0.6226  0.0703  0.7104  7 Ge 3.46-3.67, 3 Al 3.53-3.83
Ba  0.7388  0.7388  0.1446  6 Ge 3.42-3.72, 1 Al 3.52
Ba  0.7491  0.2509  0.5000  8 Ge 3.54-3.83, 4 Al 3.60-3.69
Ba  0.7907  0.2093  0.0000  10 Ge 3.39-3.62
Ba  0.9297  0.3774  0.2896  7 Ge 3.46-3.67, 3 Al 3.53-3.83
Al  0.2751  0.2751  0.5714  3 Ge 2.49-2.52
Al  0.4246  0.4246  0.2333  4 Ge 2.50-2.67
Al  0.5754  0.5754  0.7667  4 Ge 2.50-2.67
Al  0.7249  0.7249  0.4286  3 Ge 2.49-2.52
Ge  0.0867  0.0867  0.6541  1 Al 2.51, 1 Ge 2.67
Ge  0.1381  0.1381  0.1440  1 Al 2.67, 3 Ge 2.68-2.71
Ge  0.1651  0.5395  0.1424  1 Al 2.57, 2 Ge 2.62-2.71
Ge  0.2028  0.2028  0.4330  1 Al 2.52, 2 Ge 2.63-2.67
Ge  0.3197  0.3197  0.0467  3 Ge 2.62-2.68
Ge  0.4391  0.4391  0.3682  2 Al 2.49-2.50, 1 Ge 2.63
Ge  0.4605  0.8349  0.8576  1 Al 2.57, 2 Ge 2.62-2.71
Ge  0.5395  0.1651  0.1424  1 Al 2.57, 2 Ge 2.62-2.71
Ge  0.5609  0.5609  0.6318  2 Al 2.49-2.50, 1 Ge 2.63
Ge  0.6803  0.6803  0.9533  3 Ge 2.62-2.68
Ge  0.7972  0.7972  0.5670  1 Al 2.52, 2 Ge 2.63-2.67
Ge  0.8349  0.4605  0.8576  1 Al 2.57, 2 Ge 2.62-2.71
Ge  0.8619  0.8619  0.8560  1 Al 2.67, 3 Ge 2.68-2.71
Ge  0.9133  0.9133  0.3459  1 Al 2.51, 1 Ge 2.67

=====

An optimized crystal structure of Na3TmCl6, computed with PBE.

Results
* calculated density: 2.897 Mg/m³
* total DFT energy (no corrections): -79.025 eV per cell
* space group: P2_1/c, No. 14

Unit cell a=6.9561 b=7.2552 c=12.3532 alpha=90.00 beta=124.05 gamma=90.00
Closest atoms and distances in Å follow each position.
Positions (direct):
Na  0.0000  0.0000  0.0000  6 Cl 2.75-2.88
Na  0.0000  0.5000  0.5000  6 Cl 2.75-2.88
Na  0.2281  0.0592  0.7428  4 Cl 2.80-2.91
Na  0.2281  0.4408  0.2428  4 Cl 2.80-2.91
Na  0.7719  0.5592  0.7572  4 Cl 2.80-2.91
Na  0.7719  0.9408  0.2572  4 Cl 2.80-2.91
Tm  0.5000  0.0000  0.5000  6 Cl 2.61-2.64
Tm  0.5000  0.5000  0.0000  6 Cl 2.61-2.64
Cl  0.1255  0.1792  0.4369  1 Tm 2.61, 2 Na 2.75-2.80
Cl  0.1255  0.3208  0.9369  1 Tm 2.61, 2 Na 2.75-2.80
Cl  0.2539  0.6976  0.4222  1 Tm 2.61, 2 Na 2.82-2.83
Cl  0.2539  0.8024  0.9222  1 Tm 2.61, 2 Na 2.82-2.83
Cl  0.3944  0.0669  0.2624  1 Tm 2.64, 3 Na 2.81-2.91
Cl  0.3944  0.4331  0.7624  1 Tm 2.64, 3 Na 2.81-2.91
Cl  0.6056  0.5669  0.2376  1 Tm 2.64, 3 Na 2.81-2.91
Cl  0.6056  0.9331  0.7376  1 Tm 2.64, 3 Na 2.81-2.91
Cl  0.7461  0.1976  0.0778  1 Tm 2.61, 2 Na 2.82-2.83
Cl  0.7461  0.3024  0.5778  1 Tm 2.61, 2 Na 2.82-2.83
Cl  0.8745  0.6792  0.0631  1 Tm 2.61, 2 Na 2.75-2.80
Cl  0.8745  0.8208  0.5631  1 Tm 2.61, 2 Na 2.75-2.80

=====

An optimized crystal structure of YH2C4O9, computed with PBE.

Results
* calculated density: 1.887 Mg/m³
* total DFT energy (no corrections): -470.600 eV per cell
* spin magnetization: 1.000 μB/f.u.
* space group: P4_2/n, No. 86

Unit cell a=8.7901 b=8.7901 c=12.8903 alpha=90.00 beta=90.00 gamma=90.00
Closest atoms and distances in Å follow each position.
Positions (direct):
Y  0.2500  0.7500  0.2103  9 O 2.36-2.45
Y  0.2500  0.7500  0.7103  9 O 2.36-2.45
Y  0.7500  0.2500  0.2897  9 O 2.36-2.45
Y  0.7500  0.2500  0.7897  9 O 2.36-2.45
H  0.1603  0.7517  0.4776  1 O 0.98
H  0.2483  0.6603  0.9776  1 O 0.98
H  0.2517  0.8397  0.9776  1 O 0.98
H  0.3397  0.7483  0.4776  1 O 0.98
H  0.6603  0.2517  0.5224  1 O 0.98
H  0.7483  0.1603  0.0224  1 O 0.98
H  0.7517  0.3397  0.0224  1 O 0.98
H  0.8397  0.2483  0.5224  1 O 0.98
C  0.0253  0.4546  0.6947  2 O 1.25
C  0.0251  0.4619  0.1962  2 O 1.25
C  0.0381  0.0251  0.3038  2 O 1.25
C  0.0454  0.0253  0.8053  2 O 1.25
C  0.4546  0.4747  0.8053  2 O 1.25
C  0.4619  0.4749  0.3038  2 O 1.25
C  0.4749  0.0381  0.1962  2 O 1.25
C  0.4747  0.0454  0.6947  2 O 1.25
C  0.5253  0.9546  0.3053  2 O 1.25
C  0.5251  0.9619  0.8038  2 O 1.25
C  0.5381  0.5251  0.6962  2 O 1.25
C  0.5454  0.5253  0.1947  2 O 1.25
C  0.9546  0.9747  0.1947  2 O 1.25
C  0.9619  0.9749  0.6962  2 O 1.25
C  0.9749  0.5381  0.8038  2 O 1.25
C  0.9747  0.5454  0.3053  2 O 1.25
O  0.0199  0.8680  0.1485  1 C 1.25
O  0.0297  0.8731  0.6467  1 C 1.25
O  0.0443  0.6593  0.8225  1 C 1.25
O  0.0491  0.6624  0.3275  1 C 1.25
O  0.1269  0.5297  0.1467  1 C 1.25
O  0.1320  0.5199  0.6485  1 C 1.25
O  0.1593  0.9557  0.3225  1 C 1.25
O  0.1624  0.9509  0.8275  1 C 1.25
O  0.2500  0.7500  0.0222  2 H 0.98
O  0.2500  0.7500  0.5222  2 H 0.98
O  0.3376  0.5491  0.8275  1 C 1.25
O  0.3407  0.5443  0.3225  1 C 1.25
O  0.3680  0.9801  0.6485  1 C 1.25
O  0.3731  0.9703  0.1467  1 C 1.25
O  0.4509  0.8376  0.3275  1 C 1.25
O  0.4557  0.8407  0.8225  1 C 1.25
O  0.4703  0.6269  0.6467  1 C 1.25
O  0.4801  0.6320  0.1485  1 C 1.25
O  0.5199  0.3680  0.8515  1 C 1.25
O  0.5297  0.3731  0.3533  1 C 1.25
O  0.5443  0.1593  0.1775  1 C 1.25
O  0.5491  0.1624  0.6725  1 C 1.25
O  0.6269  0.0297  0.8533  1 C 1.25
O  0.6320  0.0199  0.3515  1 C 1.25
O  0.6593  0.4557  0.6775  1 C 1.25
O  0.6624  0.4509  0.1725  1 C 1.25
O  0.7500  0.2500  0.4778  2 H 0.98
O  0.7500  0.2500  0.9778  2 H 0.98
O  0.8376  0.0491  0.1725  1 C 1.25
O  0.8407  0.0443  0.6775  1 C 1.25
O  0.8680  0.4801  0.3515  1 C 1.25
O  0.8731  0.4703  0.8533  1 C 1.25
O  0.9509  0.3376  0.6725  1 C 1.25
O  0.9557  0.3407  0.1775  1 C 1.25
O  0.9703  0.1269  0.3533  1 C 1.25
O  0.9801  0.1320  0.8515  1 C 1.25